Entry 1:
{"formula": "CdP2H4O8", "functional": "PBE-GGA", "state": "optimized geometry", "lattice_angstrom": [[6.1844, 4.5937, -6.9213], [-6.6695, 7.8977, 0.6301], [5.5786, 2.8725, 8.2390]], "species": ["Cd", "Cd", "Cd", "Cd", "Cd", "Cd", "P", "P", "P", "P", "P", "P", "P", "P", "P", "P", "P", "P", "H", "H", "H", "H", "H", "H", "H", "H", "H", "H", "H", "H", "H", "H", "H", "H", "H", "H", "H", "H", "H", "H", "H", "H", "O", "O", "O", "O", "O", "O", "O", "O", "O", "O", "O", "O", "O", "O", "O", "O", "O", "O", "O", "O", "O", "O", "O", "O", "O", "O", "O", "O", "O", "O", "O", "O", "O", "O", "O", "O", "O", "O", "O", "O", "O", "O", "O", "O", "O", "O", "O", "O"], "fractional_positions": [[0.6610, 0.2798, 0.8670], [0.8670, 0.6610, 0.2798], [0.2798, 0.8670, 0.6610], [0.3390, 0.7202, 0.1330], [0.1330, 0.3390, 0.7202], [0.7202, 0.1330, 0.3390], [0.3924, 0.0213, 0.2841], [0.2841, 0.3924, 0.0213], [0.0213, 0.2841, 0.3924], [0.6076, 0.9787, 0.7159], [0.7159, 0.6076, 0.9787], [0.9787, 0.7159, 0.6076], [0.2178, 0.1094, 0.4798], [0.4798, 0.2178, 0.1094], [0.1094, 0.4798, 0.2178], [0.7822, 0.8906, 0.5202], [0.5202, 0.7822, 0.8906], [0.8906, 0.5202, 0.7822], [0.7574, 0.3260, 0.5675], [0.5675, 0.7574, 0.3260], [0.3260, 0.5675, 0.7574], [0.2426, 0.6740, 0.4325], [0.4325, 0.2426, 0.6740], [0.6740, 0.4325, 0.2426], [0.5351, 0.6091, 0.3001], [0.3001, 0.5351, 0.6091], [0.6091, 0.3001, 0.5351], [0.4649, 0.3909, 0.6999], [0.6999, 0.4649, 0.3909], [0.3909, 0.6999, 0.4649], [0.2937, 0.0687, 0.8758], [0.8758, 0.2937, 0.0687], [0.0687, 0.8758, 0.2937], [0.7063, 0.9313, 0.1242], [0.1242, 0.7063, 0.9313], [0.9313, 0.1242, 0.7063], [0.8537, 0.9540, 0.1758], [0.1758, 0.8537, 0.9540], [0.9540, 0.1758, 0.8537], [0.1463, 0.0460, 0.8242], [0.8242, 0.1463, 0.0460], [0.0460, 0.8242, 0.1463], [0.9035, 0.2510, 0.2962], [0.2962, 0.9035, 0.2510], [0.2510, 0.2962, 0.9035], [0.0965, 0.7490, 0.7038], [0.7038, 0.0965, 0.7490], [0.7490, 0.7038, 0.0965], [0.9975, 0.6707, 0.4693], [0.4693, 0.9975, 0.6707], [0.6707, 0.4693, 0.9975], [0.0025, 0.3293, 0.5307], [0.5307, 0.0025, 0.3293], [0.3293, 0.5307, 0.0025], [0.2050, 0.5980, 0.2555], [0.2555, 0.2050, 0.5980], [0.5980, 0.2555, 0.2050], [0.7950, 0.4020, 0.7445], [0.7445, 0.7950, 0.4020], [0.4020, 0.7445, 0.7950], [0.9696, 0.4985, 0.1780], [0.1780, 0.9696, 0.4985], [0.4985, 0.1780, 0.9696], [0.0304, 0.5015, 0.8220], [0.8220, 0.0304, 0.5015], [0.5015, 0.8220, 0.0304], [0.3908, 0.3383, 0.1214], [0.1214, 0.3908, 0.3383], [0.3383, 0.1214, 0.3908], [0.6092, 0.6617, 0.8786], [0.8786, 0.6092, 0.6617], [0.6617, 0.8786, 0.6092], [0.3857, 0.1028, 0.1576], [0.1576, 0.3857, 0.1028], [0.1028, 0.1576, 0.3857], [0.6143, 0.8972, 0.8424], [0.8424, 0.6143, 0.8972], [0.8972, 0.8424, 0.6143], [0.4923, 0.6904, 0.3094], [0.3094, 0.4923, 0.6904], [0.6904, 0.3094, 0.4923], [0.5077, 0.3096, 0.6906], [0.6906, 0.5077, 0.3096], [0.3096, 0.6906, 0.5077], [0.0005, 0.1519, 0.7772], [0.7772, 0.0005, 0.1519], [0.1519, 0.7772, 0.0005], [0.9995, 0.8481, 0.2228], [0.2228, 0.9995, 0.8481], [0.8481, 0.2228, 0.9995]], "formation_energy_ev_per_fu": -29.58, "energy_ev_per_atom": -5.93, "spacegroup": "R-3, No. 148", "crystal_system": "trigonal"}

---

Entry 2:
{"formula": "ZnSn2O4", "functional": "PBE-GGA", "state": "optimized geometry", "lattice_angstrom": [[0.8760, -4.1415, 5.0313], [2.7569, -5.8681, -1.0946], [6.0835, -1.0632, 2.1676]], "species": ["Zn", "Zn", "Sn", "Sn", "Sn", "Sn", "O", "O", "O", "O", "O", "O", "O", "O"], "fractional_positions": [[0.8928, 0.8928, 0.3390], [0.1072, 0.1072, 0.6610], [0.5000, 0.5000, 0.5000], [0.0000, 0.5000, 0.0000], [0.5000, 0.0000, 0.0000], [0.5000, 0.5000, 0.0000], [0.7329, 0.2144, 0.7918], [0.2144, 0.7329, 0.7918], [0.2388, 0.2388, 0.7871], [0.7483, 0.7483, 0.7762], [0.7612, 0.7612, 0.2129], [0.7856, 0.2671, 0.2082], [0.2517, 0.2517, 0.2238], [0.2671, 0.7856, 0.2082]], "formation_energy_ev_per_fu": -11.24, "energy_ev_per_atom": -5.37, "spacegroup": "C2/m, No. 12", "crystal_system": "monoclinic"}

---

Taking the records one at a time from the top gives energy above the lowest structure with this stoichiometry values of 0.0; 16.7 kJ/mol of atoms.